[1]
## Sb4Te3N2 (PBE)

Data for a relaxed structure of Sb4Te3N2.

```
Sb4Te3N2
1.0
7.6079 0.0000 0.0000
0.0000 10.7902 0.0000
0.0000 0.0000 11.4618
Sb Te N
16 12 8
Cartesian
0.6867 2.6975 1.9689
1.1507 0.5443 10.3150
1.1507 4.8508 10.3150
1.7917 8.0926 0.2855
2.0122 2.6975 6.0164
2.6533 5.9394 4.5841
2.6533 10.2459 4.5841
3.1173 8.0926 7.6998
4.4906 2.6975 3.7620
4.9546 0.5443 6.8777
4.9546 4.8508 6.8777
5.5957 8.0926 5.4454
5.8162 2.6975 11.1763
6.4573 5.9394 1.1468
6.4573 10.2459 1.1468
6.9213 8.0926 9.4929
0.4273 8.0926 2.7425
0.8744 5.9835 7.3618
0.8744 10.2018 7.3618
2.9295 0.5884 1.6309
2.9295 4.8067 1.6309
3.3767 2.6975 8.4734
4.2312 8.0926 2.9884
4.6784 5.9835 9.8310
4.6784 10.2018 9.8310
6.7335 0.5884 4.1000
6.7335 4.8067 4.1000
7.1807 2.6975 8.7193
0.3038 6.7178 10.9886
0.3038 9.4675 10.9886
3.5002 1.3227 5.2577
3.5002 4.0724 5.2577
4.1078 6.7178 6.2041
4.1078 9.4675 6.2041
7.3041 1.3227 0.4732
7.3041 4.0724 0.4732
```

Crystal system: orthorhombic
Space group: Pnma (62)



[2]
## SbTeN (PBE)

Data for a relaxed structure of SbTeN.

```
SbTeN
1.0
3.9574 0.0000 0.0000
0.0000 3.9574 0.0000
0.0000 0.0000 9.7685
Sb Te N
2 2 2
Cartesian
0.9894 0.9894 1.0218
2.9681 2.9681 8.7467
0.9894 0.9894 5.3846
2.9681 2.9681 4.3839
0.9894 2.9681 0.0000
2.9681 0.9894 0.0000
```

Crystal system: tetragonal
Space group: P4/nmm (129)



[3]
## U2SbN2 (PBE)

Data for a relaxed structure of U2SbN2.

```
U2SbN2
1.0
-1.9321 1.9321 6.1764
1.9321 -1.9321 6.1764
1.9321 1.9321 -6.1764
U Sb N
2 1 2
Cartesian
0.0000 0.0000 1.9365
0.0000 0.0000 10.4162
0.0000 0.0000 6.1764
1.9321 0.0000 3.0882
0.0000 1.9321 3.0882
```

Crystal system: tetragonal
Space group: I4/mmm (139)



[4]
## Zn3SbN3 (PBE)

Data for a relaxed structure of Zn3SbN3.

```
Zn3SbN3
1.0
5.6094 0.0000 -3.9777
0.0000 6.6401 0.0000
0.0000 0.0000 5.6659
Zn N Sb
6 6 2
Cartesian
0.8011 3.3201 0.0967
3.6058 0.0000 -1.8922
3.0036 5.1869 0.8056
3.0036 1.4533 0.8056
0.1990 4.7733 2.7944
0.1990 1.8668 2.7944
0.9929 5.0782 0.9996
0.9929 1.5620 0.9996
1.1107 3.3201 3.8174
3.9153 0.0000 1.8285
3.7976 4.8820 -0.9893
3.7976 1.7581 -0.9893
3.1418 3.3201 -2.2024
0.3371 0.0000 -0.2136
```



| no. | volume (Å³ per cell) | calculated formation energy (eV/atom) |
| --- | --- | --- |
| 1 | 940.9 | 0.12 |
| 2 | 153.0 | 0.20 |
| 3 | 92.2 | -1.35 |
| 4 | 211.0 | -0.05 |